A relaxed structure of Ba5In5O12. Source: the Materials Project database, functional PBE.

Properties
DFT total energy = -5.72 eV per atom
space group = P-1 (2)
ΔE_f = -51.32 eV per formula unit

```
Ba5In5O12
1.0
1.426 3.612 4.565
2.981 4.925 -4.594
-9.694 0.385 -1.037
Ba In O
5 5 12
Cartesian
-6.191 4.017 2.787
0.904 4.905 -3.853
2.203 4.269 -0.014
-2.014 4.045 1.519
-3.274 4.878 -2.585
0.713 1.806 2.283
-0.541 6.401 -0.844
-4.627 6.462 0.644
-0.660 2.460 -1.710
-4.746 2.521 -0.221
-6.908 2.212 0.482
1.620 6.710 -1.547
0.143 7.038 1.057
-4.134 1.999 1.764
0.883 3.889 2.801
-6.170 5.033 -3.866
-0.423 4.287 -0.585
-2.665 2.155 -0.829
-5.430 1.885 -2.123
1.490 2.463 -2.297
-2.622 6.767 -0.236
-4.864 4.635 -0.480
```

A relaxed structure of NdH10S3N3O11. Source: the Materials Project database, functional PBE.

Properties
DFT total energy = -5.81 eV per atom
space group = P-1 (2)
ΔE_f = -39.67 eV per formula unit

```
NdH10S3N3O11
1.0
-0.426 -6.355 -4.888
9.229 0.404 -0.695
-3.578 -4.396 7.446
Nd H S N O
2 20 6 6 22
Cartesian
2.567 -8.141 1.552
2.658 -2.206 0.310
3.894 -6.087 -2.330
1.331 -4.261 4.193
5.381 -6.718 -1.884
-0.156 -3.630 3.746
6.966 -3.039 0.302
-1.741 -7.308 1.560
7.745 -1.734 1.047
-2.520 -8.614 0.816
0.840 -4.887 -1.506
4.385 -5.460 3.368
-0.570 -5.301 -0.726
5.795 -5.046 2.589
5.591 -7.986 2.139
-0.366 -2.361 -0.276
8.518 -4.191 -3.951
-3.293 -6.157 5.814
5.868 -2.963 -2.894
-0.643 -7.385 4.756
5.494 -4.526 -2.932
-0.269 -5.821 4.794
4.530 -5.363 -0.307
0.695 -4.985 2.170
6.209 -1.077 -0.457
-0.984 -9.270 2.319
0.447 -7.088 -1.574
4.778 -3.260 3.436
4.790 -5.875 -1.880
0.435 -4.473 3.742
7.372 -2.102 0.160
-2.147 -8.245 1.703
0.000 -5.472 -1.565
5.225 -4.876 3.428
5.797 -4.812 0.136
-0.572 -5.536 1.727
1.783 -5.971 2.326
3.442 -4.377 -0.463
4.108 -6.510 0.514
1.117 -3.838 1.349
6.320 -6.098 -5.044
-1.095 -4.249 6.906
2.541 -5.788 5.568
2.684 -4.560 -3.705
0.293 -9.031 1.608
4.932 -1.317 0.255
-0.801 -7.825 -1.450
6.026 -2.523 3.312
1.397 -7.330 -0.473
3.828 -3.018 2.335
4.100 -3.102 4.735
1.125 -7.246 -2.872
4.750 -8.077 2.669
0.475 -2.270 -0.806
5.876 -3.770 -3.456
-0.651 -6.577 5.319
```

A relaxed structure of LiCd2Pt. Source: the Materials Project database, functional PBE.

Properties
DFT total energy = -2.88 eV per atom
space group = Fm-3m (225)
ΔE_f = -1.71 eV per formula unit

```
LiCd2Pt
1.0
0.000 3.286 3.286
3.286 0.000 3.286
3.286 3.286 0.000
Li Cd Pt
1 2 1
Cartesian
3.286 3.286 3.286
4.929 4.929 4.929
1.643 1.643 1.643
0.000 0.000 0.000
```

A relaxed structure of Ba4Ir3O10. Source: the Materials Project database, functional PBE.

Properties
DFT total energy = -6.66 eV per atom
space group = P2_1/c (14)
energy above the lowest structure with this stoichiometry = 0.00 kcal/mol of atoms
ΔE_f = -36.48 eV per formula unit

```
Ba4Ir3O10
1.0
13.366 0.000 0.000
0.000 5.828 0.000
0.000 2.808 6.807
Ba Ir O
8 6 20
Cartesian
8.515 2.779 6.220
1.832 2.943 0.587
4.851 5.857 0.587
11.533 5.693 6.220
8.196 5.754 3.503
1.513 5.795 3.304
11.853 2.840 3.503
5.170 2.881 3.304
0.000 0.000 0.000
6.683 2.914 0.000
11.348 5.738 1.634
4.665 5.811 5.172
2.018 2.898 5.172
8.700 2.824 1.634
3.670 7.597 5.247
10.353 3.952 1.560
9.695 1.038 1.560
3.012 4.683 5.247
4.620 5.806 3.198
11.303 5.743 3.609
8.746 2.829 3.609
2.063 2.892 3.198
6.116 4.347 5.376
12.799 1.374 1.431
7.250 4.288 1.431
0.567 7.261 5.376
6.346 7.044 5.268
13.029 4.505 1.539
2.005 5.889 0.512
8.687 5.660 6.295
11.361 2.746 6.295
4.678 2.975 0.512
0.337 4.130 5.268
7.019 1.591 1.539
```

A relaxed structure of Ca3Ta2N4. Source: the Materials Project database, functional PBE.

Properties
DFT total energy = -7.86 eV per atom
space group = C2/c (15)
energy above the lowest structure with this stoichiometry = 0.00 kcal/mol of atoms
ΔE_f = -9.12 eV per formula unit

```
Ca3Ta2N4
1.0
8.333 1.461 -0.158
-4.911 6.276 0.000
-0.209 -0.164 5.334
Ca Ta N
6 4 8
Cartesian
2.186 0.451 0.004
2.354 5.642 2.505
1.027 7.122 5.172
0.859 1.931 2.671
-3.123 3.668 4.001
-1.997 2.444 1.334
4.021 2.110 2.901
0.094 4.096 4.942
-0.808 5.464 2.275
3.119 3.477 0.234
2.702 0.411 2.920
2.059 4.968 4.923
0.511 7.162 2.256
1.153 2.606 0.253
4.703 2.926 4.645
-0.863 3.630 3.198
-1.490 4.648 0.531
4.075 3.943 1.978
```

A relaxed structure of NaCu3SnSe4. Source: the Materials Project database, functional PBE.

Properties
DFT total energy = -3.71 eV per atom
space group = P-43m (215)
ΔE_f = -3.64 eV per formula unit

```
NaCu3SnSe4
1.0
6.092 0.000 0.000
0.000 6.092 0.000
0.000 0.000 6.092
Na Cu Sn Se
1 3 1 4
Cartesian
3.046 3.046 3.046
0.000 3.046 0.000
0.000 0.000 3.046
3.046 0.000 0.000
0.000 0.000 0.000
1.452 1.452 1.452
4.640 4.640 1.452
1.452 4.640 4.640
4.640 1.452 4.640
```

A relaxed structure of Ca4La2Zr4O15. Source: the Materials Project database, functional PBE.

Properties
DFT total energy = -8.13 eV per atom
space group = R-3m (166)
ΔE_f = -87.13 eV per formula unit

```
Ca4La2Zr4O15
1.0
12.412 -2.987 0.000
12.412 2.987 0.000
11.693 0.000 5.124
Ca La Zr O
4 2 4 15
Cartesian
22.459 0.000 3.151
0.000 0.000 0.000
14.059 0.000 1.973
18.259 0.000 2.562
29.754 0.000 4.175
6.764 0.000 0.949
32.964 0.000 4.625
10.877 0.000 1.526
25.641 0.000 3.598
3.553 0.000 0.499
19.255 -1.652 3.665
17.263 1.652 1.459
26.524 -1.537 4.618
9.993 1.537 0.506
12.053 -1.494 2.562
16.866 0.000 4.292
26.894 0.000 1.981
12.412 0.000 0.000
19.652 0.000 0.832
9.623 0.000 3.143
19.255 1.652 3.665
17.263 -1.652 1.459
26.524 1.537 4.618
9.993 -1.537 0.506
12.053 1.494 2.562
```

A relaxed structure of TbBiPd. Source: the Materials Project database, functional PBE.

Properties
DFT total energy = -5.51 eV per atom
space group = F-43m (216)
ΔE_f = -2.84 eV per formula unit

```
TbBiPd
1.0
3.400 0.032 3.347
2.347 4.038 0.978
-0.748 2.252 4.139
Tb Bi Pd
1 1 1
Cartesian
2.500 3.161 4.232
0.000 0.000 0.000
1.250 1.580 2.116
```

A relaxed structure of FeSiW. Source: the Materials Project database, functional PBE.

Properties
DFT total energy = -9.26 eV per atom
space group = F-43m (216)
energy above the lowest structure with this stoichiometry = 0.00 kcal/mol of atoms
ΔE_f = -0.91 eV per formula unit

```
FeSiW
1.0
0.000 2.774 2.774
2.774 0.000 2.774
2.774 2.774 0.000
Fe Si W
1 1 1
Cartesian
4.160 4.160 4.160
0.000 0.000 0.000
2.774 2.774 2.774
```

A relaxed structure of Na3Ca3ScS6O24. Source: the Materials Project database, functional PBE.

Properties
DFT total energy = -6.37 eV per atom
space group = P1 (1)
ΔE_f = -92.18 eV per formula unit

```
Na3Ca3ScS6O24
1.0
9.161 -0.016 -0.013
-4.594 7.931 0.005
-0.033 -0.003 23.902
Na Ca Sc S O
9 9 3 18 72
Cartesian
1.236 7.916 5.943
1.651 2.863 5.940
-2.919 5.544 14.000
9.085 0.076 11.926
-4.624 7.924 23.862
4.546 2.623 19.883
4.628 2.734 8.092
-0.141 5.275 3.760
0.099 5.274 16.090
-4.580 7.889 8.446
-4.619 7.925 20.334
9.085 0.058 15.625
4.581 7.875 3.421
4.533 2.592 16.422
4.608 2.694 4.270
0.001 5.284 0.374
0.049 5.275 12.318
-0.097 5.276 7.745
4.543 2.632 23.444
4.538 2.596 11.563
-0.040 5.279 19.574
2.746 0.004 5.964
3.162 5.545 5.984
-1.356 2.338 5.980
1.301 2.455 17.996
-3.151 5.548 17.944
1.749 7.840 17.991
7.203 2.628 13.877
3.196 0.299 13.889
3.252 4.934 13.902
5.919 4.951 1.898
5.910 0.313 1.960
1.894 2.645 1.960
2.671 5.211 21.917
-1.445 2.967 21.921
-1.343 7.653 21.921
1.324 7.749 9.967
1.444 2.877 9.968
-2.840 5.217 10.076
1.907 0.166 7.169
3.703 6.177 7.199
8.075 1.506 7.173
1.012 1.612 19.159
5.410 6.245 19.065
7.216 0.082 19.150
2.524 7.633 16.742
0.736 1.888 16.746
-3.354 6.288 16.657
3.446 6.355 4.782
-0.783 1.693 4.774
-2.672 7.793 4.758
6.393 2.787 15.091
3.708 0.922 15.109
3.538 4.182 15.126
5.642 4.247 3.162
5.455 0.883 3.258
2.613 2.747 3.259
2.870 2.575 0.816
5.383 4.167 0.729
5.487 1.193 0.815
3.570 1.124 12.684
3.803 4.191 12.701
6.297 2.519 12.671
1.868 5.387 23.128
-0.891 3.576 23.131
-1.092 6.872 23.132
0.999 6.881 11.104
0.850 3.587 11.106
-2.002 5.376 11.281
-2.025 5.023 8.857
0.791 7.199 8.688
1.238 3.618 8.690
-1.144 3.825 20.717
-0.751 6.967 20.717
1.778 5.047 20.714
-3.711 6.406 9.953
7.387 -0.011 9.893
0.856 1.522 9.897
-0.884 1.614 21.762
-2.796 7.843 21.762
3.565 6.372 21.759
8.065 1.429 13.908
1.706 0.158 13.911
3.973 6.253 13.921
5.252 6.276 1.889
7.391 0.221 1.935
1.074 1.408 1.931
5.455 1.090 17.874
2.769 2.632 17.884
5.428 4.173 17.850
3.702 4.154 5.889
6.318 2.437 5.866
3.603 1.250 5.881
3.509 3.950 22.038
6.204 2.852 22.030
3.918 1.082 22.038
5.271 1.173 10.146
2.940 2.756 10.155
5.454 3.967 10.193
1.036 3.846 1.854
-1.773 5.119 1.821
0.703 6.901 1.858
-0.827 6.856 13.776
1.799 5.132 13.774
-1.143 3.893 13.757
-0.917 6.769 6.077
1.655 5.432 6.084
-0.710 3.683 6.097
0.661 3.823 18.178
-1.651 5.426 18.150
0.884 6.602 18.174
```

A relaxed structure of SmSnPt. Source: the Materials Project database, functional PBE.

Properties
DFT total energy = -6.00 eV per atom
space group = P-62m (189)
ΔE_f = -3.20 eV per formula unit

```
SmSnPt
1.0
0.000 0.000 -4.109
-3.799 -6.580 0.000
-3.799 6.580 0.000
Sm Sn Pt
3 3 3
Cartesian
-4.497 0.000 0.000
-1.550 2.685 0.000
-1.550 -2.685 0.000
-2.828 -4.898 -2.054
-1.942 0.000 -2.054
-2.828 4.898 -2.054
-3.799 2.193 -2.054
0.000 0.000 0.000
-3.799 -2.193 -2.054
```

A relaxed structure of ZnAg2SnS4. Source: the Materials Project database, functional PBE.

Properties
DFT total energy = -3.81 eV per atom
space group = I-42m (121)
ΔE_f = -4.99 eV per formula unit

```
ZnAg2SnS4
1.0
0.960 3.452 6.303
-3.178 6.508 0.323
-2.171 -6.652 -1.898
Zn Ag Sn S
1 2 1 4
Cartesian
0.000 0.000 0.000
-1.160 0.890 3.859
-3.229 2.418 0.869
-1.109 4.980 3.313
0.204 3.046 4.072
-1.908 4.607 1.019
-1.862 0.335 1.460
-3.040 5.280 4.803
```